This record from Materials Project describes a relaxed structure of MgW2O5. The functional is PBE with a Hubbard U.

Cell lengths 5.9224, 5.9224, 10.9055 Å; angles 90.00, 90.00, 142.25 degrees
Atoms (fractional coordinates):
Mg: 0.0968 0.9032 0.7500
Mg: 0.9032 0.0968 0.2500
W: 0.1900 0.8100 0.1238
W: 0.1900 0.8100 0.3762
W: 0.8100 0.1900 0.6238
W: 0.8100 0.1900 0.8762
O: 0.0303 0.9697 0.1201
O: 0.0303 0.9697 0.3799
O: 0.2549 0.7451 0.5926
O: 0.2549 0.7451 0.9074
O: 0.3374 0.6626 0.2500
O: 0.6626 0.3374 0.7500
O: 0.7451 0.2549 0.0926
O: 0.7451 0.2549 0.4074
O: 0.9697 0.0303 0.6201
O: 0.9697 0.0303 0.8799

Summary:
space group: Cmcm (63)
formation enthalpy at 0 K: -1926 meV/atom
size of the total moment: 0.250 μB per atom
energy above the lowest structure with this stoichiometry: 100 meV per atom

---

This record from Materials Project describes a relaxed structure of MgWO3. The functional is PBE with a Hubbard U.

Cell lengths 4.0936, 4.0936, 4.1493 Å; angles 95.77, 95.77, 94.88 degrees
Atoms (fractional coordinates):
Mg: 0.0000 0.0000 0.0000
W: 0.4354 0.4354 0.7384
O: 0.3748 0.3748 0.2602
O: 0.4765 0.9445 0.8111
O: 0.9445 0.4765 0.8111

Summary:
space group: Cm (8)
formation enthalpy at 0 K: -2063 meV/atom
size of the total moment: 0.400 μB per atom

---

This record from Materials Project describes a relaxed structure of MgWO5. The functional is PBE with a Hubbard U.

Cell lengths 5.7314, 6.1024, 7.0128 Å; angles 102.84, 93.22, 107.83 degrees
Atoms (fractional coordinates):
Mg: 0.1152 0.2207 0.1871
Mg: 0.8848 0.7793 0.8129
W: 0.2559 0.3707 0.7484
W: 0.7441 0.6293 0.2516
O: 0.1115 0.1368 0.8758
O: 0.1416 0.6166 0.8144
O: 0.1721 0.2514 0.4838
O: 0.3712 0.0465 0.2549
O: 0.4116 0.5192 0.1966
O: 0.5884 0.4808 0.8034
O: 0.6288 0.9535 0.7451
O: 0.8279 0.7486 0.5162
O: 0.8584 0.3834 0.1856
O: 0.8885 0.8632 0.1242

Summary:
space group: P-1 (2)
formation enthalpy at 0 K: -1873 meV/atom
size of the total moment: 0.286 μB per atom

---

This record from Materials Project describes a relaxed structure of MgWO4. The functional is PBE with a Hubbard U.

Cell lengths 5.5281, 5.5573, 5.6128 Å; angles 90.00, 117.37, 90.00 degrees
Atoms (fractional coordinates):
Mg: 0.0000 0.1265 0.2500
Mg: 0.0000 0.8735 0.7500
W: 0.5000 0.3516 0.7500
W: 0.5000 0.6484 0.2500
O: 0.2199 0.1362 0.6755
O: 0.2199 0.8638 0.1755
O: 0.3099 0.3815 0.3471
O: 0.3099 0.6185 0.8471
O: 0.6901 0.3815 0.1529
O: 0.6901 0.6185 0.6529
O: 0.7801 0.1362 0.8245
O: 0.7801 0.8638 0.3245

Summary:
space group: P2/c (13)
formation enthalpy at 0 K: -2540 meV/atom
size of the total moment: 0.000 μB per atom

---

This record from Materials Project describes a relaxed structure of MgWO2. The functional is PBE with a Hubbard U.

Cell lengths 2.9595, 7.9229, 8.4382 Å; angles 92.48, 95.83, 96.49 degrees
Atoms (fractional coordinates):
Mg: 0.0000 0.0000 0.0000
Mg: 0.1250 0.9413 0.5741
Mg: 0.3927 0.6392 0.2336
Mg: 0.7840 0.2589 0.3280
W: 0.4134 0.3477 0.9474
W: 0.4553 0.5697 0.5622
W: 0.7365 0.2896 0.6959
W: 0.8077 0.6410 0.8672
O: 0.2140 0.1147 0.7948
O: 0.3407 0.4199 0.3534
O: 0.4222 0.8080 0.0008
O: 0.5879 0.1590 0.1044
O: 0.6384 0.8067 0.6868
O: 0.6447 0.1051 0.5033
O: 0.8305 0.5320 0.0927
O: 0.9493 0.7130 0.4112

Summary:
space group: P1 (1)
formation enthalpy at 0 K: -1656 meV/atom
size of the total moment: 0.000 μB per atom

---

This record from Materials Project describes a relaxed structure of Mg3WO6. The functional is PBE with a Hubbard U.

Cell lengths 5.1696, 5.3595, 9.2580 Å; angles 90.00, 123.71, 90.00 degrees
Atoms (fractional coordinates):
Mg: 0.0000 0.0000 0.0000
Mg: 0.0000 0.5000 0.5000
Mg: 0.2284 0.0513 0.7379
Mg: 0.2284 0.4487 0.2379
Mg: 0.7716 0.5513 0.7621
Mg: 0.7716 0.9487 0.2621
W: 0.5000 0.0000 0.5000
W: 0.5000 0.5000 0.0000
O: 0.1297 0.1780 0.4432
O: 0.1297 0.3220 0.9432
O: 0.2473 0.6976 0.4165
O: 0.2473 0.8024 0.9165
O: 0.3958 0.0754 0.2644
O: 0.3958 0.4246 0.7644
O: 0.6042 0.5754 0.2356
O: 0.6042 0.9246 0.7356
O: 0.7527 0.1976 0.0835
O: 0.7527 0.3024 0.5835
O: 0.8703 0.6780 0.0568
O: 0.8703 0.8220 0.5568

Summary:
space group: P2_1/c (14)
formation enthalpy at 0 K: -2724 meV/atom
size of the total moment: 0.000 μB per atom
energy above the lowest structure with this stoichiometry: 3 meV per atom